Entry from Materials Project: a relaxed NdAsO4 crystal (PBE).

Cell lengths 6.1451, 6.1451, 6.1451 Å; angles 106.42, 106.42, 115.77 degrees
Sites, in units of the cell vectors:
Nd 0.2500 0.7500 0.5000
Nd 0.0000 0.0000 0.0000
As 0.5000 0.5000 0.0000
As 0.7500 0.2500 0.5000
O 0.4905 0.6694 0.8212
O 0.3306 0.1518 0.8212
O 0.3306 0.5095 0.1788
O 0.8482 0.6694 0.1788
O 0.4018 0.0806 0.3212
O 0.9194 0.5982 0.6788
O 0.9194 0.2405 0.3212
O 0.7595 0.0806 0.6788

Properties
Symmetry: I4_1/amd, No. 141
Energy above the lowest structure with this stoichiometry, eV/atom: 0.000
Calculated total energy, Ry/atom: -0.530

***

Entry from Materials Project: a relaxed LaBeOs2 crystal (PBE).

Cell lengths 4.6021, 4.6021, 4.6021 Å; angles 60.00, 60.00, 60.00 degrees
Sites, in units of the cell vectors:
La 0.7500 0.7500 0.7500
Be 0.5000 0.5000 0.5000
Os 0.0000 0.0000 0.0000
Os 0.2500 0.2500 0.2500

Properties
Symmetry: F-43m, No. 216
Calculated total energy, Ry/atom: -0.522

***

Entry from Materials Project: a relaxed MgZn2Fe4S8 crystal (PBE).

Cell lengths 7.1009, 6.7553, 6.7475 Å; angles 59.85, 61.63, 61.58 degrees
Sites, in units of the cell vectors:
Mg 0.5000 0.0000 0.0000
Zn 0.9379 0.8540 0.8542
Zn 0.0621 0.1461 0.1458
Fe 0.5000 0.5000 0.5000
Fe 0.5000 0.5000 0.0000
Fe 0.0000 0.5000 0.5000
Fe 0.5000 0.0000 0.5000
S 0.7411 0.7345 0.7347
S 0.2599 0.2649 0.7099
S 0.2593 0.7101 0.2650
S 0.6839 0.2722 0.2727
S 0.7407 0.2899 0.7350
S 0.3161 0.7278 0.7273
S 0.2589 0.2655 0.2653
S 0.7401 0.7351 0.2901

Properties
Symmetry: P-1, No. 2
Energy above the lowest structure with this stoichiometry, eV/atom: 0.000
Calculated total energy, Ry/atom: -0.379

***

Entry from Materials Project: a relaxed NaTa4O8 crystal (PBE).

Cell lengths 7.1705, 10.3770, 13.0658 Å; angles 90.00, 90.00, 90.00 degrees
Sites, in units of the cell vectors:
Na 0.0000 0.5000 0.0071
Na 0.0000 0.5000 0.2401
Na 0.5000 0.0000 0.4749
Na 0.0000 0.5000 0.5251
Na 0.5000 0.0000 0.7599
Na 0.5000 0.0000 0.9929
Ta 0.0000 0.0000 0.2285
Ta 0.0000 0.0000 0.5234
Ta 0.0000 0.0000 0.7264
Ta 0.5000 0.5000 0.7715
Ta 0.2678 0.7171 0.8739
Ta 0.2678 0.2829 0.8739
Ta 0.5000 0.5000 0.9764
Ta 0.0000 0.0000 0.0236
Ta 0.2322 0.7829 0.1261
Ta 0.7678 0.7829 0.1261
Ta 0.5000 0.5000 0.2736
Ta 0.2697 0.7189 0.3746
Ta 0.2697 0.2811 0.3746
Ta 0.5000 0.5000 0.4766
Ta 0.2303 0.2189 0.6254
Ta 0.7697 0.2189 0.6254
Ta 0.7697 0.7811 0.6254
Ta 0.2303 0.7811 0.6254
Ta 0.7322 0.7171 0.8739
Ta 0.7322 0.2829 0.8739
Ta 0.2322 0.2171 0.1261
Ta 0.7678 0.2171 0.1261
Ta 0.7303 0.7189 0.3746
Ta 0.7303 0.2811 0.3746
O 0.3080 0.3644 0.5139
O 0.0000 0.3200 0.6245
O 0.3119 0.3620 0.7358
O 0.0000 0.3276 0.8778
O 0.3079 0.6352 0.0129
O 0.3079 0.3648 0.0129
O 0.5000 0.8276 0.1222
O 0.0000 0.3224 0.1240
O 0.3073 0.6349 0.2358
O 0.1881 0.1380 0.2642
O 0.8119 0.1380 0.2642
O 0.3073 0.3651 0.2358
O 0.8119 0.8620 0.2642
O 0.1881 0.8620 0.2642
O 0.5000 0.1800 0.3755
O 0.5000 0.8200 0.3755
O 0.0000 0.3339 0.3762
O 0.8080 0.1356 0.4861
O 0.1920 0.1356 0.4861
O 0.1920 0.8644 0.4861
O 0.8080 0.8644 0.4861
O 0.6920 0.3644 0.5139
O 0.3080 0.6356 0.5139
O 0.5000 0.1661 0.6238
O 0.5000 0.8339 0.6238
O 0.6881 0.3620 0.7358
O 0.3119 0.6380 0.7358
O 0.8073 0.1349 0.7642
O 0.1927 0.1349 0.7642
O 0.1927 0.8651 0.7642
O 0.8073 0.8651 0.7642
O 0.0000 0.6724 0.8778
O 0.5000 0.1776 0.8760
O 0.5000 0.8224 0.8760
O 0.8079 0.1352 0.9871
O 0.1921 0.1352 0.9871
O 0.6921 0.6352 0.0129
O 0.1921 0.8648 0.9871
O 0.8079 0.8648 0.9871
O 0.6921 0.3648 0.0129
O 0.0000 0.6776 0.1240
O 0.5000 0.1724 0.1222
O 0.6927 0.6349 0.2358
O 0.6927 0.3651 0.2358
O 0.0000 0.6661 0.3762
O 0.6920 0.6356 0.5139
O 0.0000 0.6800 0.6245
O 0.6881 0.6380 0.7358

Properties
Symmetry: Pmmn, No. 59
Calculated total energy, Ry/atom: -0.691

***

Entry from Materials Project: a relaxed KCaMg6 crystal (PBE).

Cell lengths 5.5007, 6.8863, 12.0666 Å; angles 90.00, 90.00, 90.00 degrees
Sites, in units of the cell vectors:
K 0.5000 0.5000 0.1620
K 0.5000 0.0000 0.6620
Ca 0.0000 0.5000 0.3402
Ca 0.0000 0.0000 0.8402
Mg 0.0000 0.7575 0.0808
Mg 0.0000 0.2425 0.0808
Mg 0.0000 0.0000 0.3337
Mg 0.5000 0.2478 0.4178
Mg 0.5000 0.7522 0.4178
Mg 0.5000 0.0000 0.1668
Mg 0.0000 0.2575 0.5808
Mg 0.0000 0.7425 0.5808
Mg 0.0000 0.5000 0.8337
Mg 0.5000 0.7478 0.9178
Mg 0.5000 0.2522 0.9178
Mg 0.5000 0.5000 0.6668

Properties
Calculated total energy, Ry/atom: -0.105

***

Entry from Materials Project: a relaxed NbAsPCl13 crystal (PBE).

Cell lengths 9.7884, 9.7884, 12.1109 Å; angles 90.00, 90.00, 114.86 degrees
Sites, in units of the cell vectors:
Nb 0.2057 0.7943 0.5015
Nb 0.7943 0.2057 0.0015
As 0.5474 0.4526 0.1508
As 0.4526 0.5474 0.6508
P 0.1409 0.8591 0.9625
P 0.8591 0.1409 0.4625
Cl 0.3780 0.3024 0.6272
Cl 0.7467 0.2533 0.4117
Cl 0.4490 0.5510 0.8344
Cl 0.3074 0.0120 0.3877
Cl 0.0657 0.2373 0.4068
Cl 0.2533 0.7467 0.9117
Cl 0.3024 0.3780 0.1272
Cl 0.0120 0.3074 0.8877
Cl 0.9880 0.6926 0.3877
Cl 0.9343 0.7627 0.9068
Cl 0.5510 0.4490 0.3344
Cl 0.1390 0.8610 0.1240
Cl 0.8964 0.4250 0.1175
Cl 0.3255 0.6745 0.3925
Cl 0.9122 0.0878 0.1161
Cl 0.6926 0.9880 0.8877
Cl 0.7627 0.9343 0.4068
Cl 0.2373 0.0657 0.9068
Cl 0.6745 0.3255 0.8925
Cl 0.6220 0.6976 0.1272
Cl 0.5750 0.1036 0.1175
Cl 0.8610 0.1390 0.6240
Cl 0.4250 0.8964 0.6175
Cl 0.6976 0.6220 0.6272
Cl 0.0878 0.9122 0.6161
Cl 0.1036 0.5750 0.6175

Properties
Symmetry: Cmc2_1, No. 36
Calculated total energy, Ry/atom: -0.269

***

Entry from Materials Project: a relaxed Gd2Si3Ni crystal (PBE).

Cell lengths 4.0546, 4.0546, 8.0644 Å; angles 90.00, 90.00, 120.00 degrees
Sites, in units of the cell vectors:
Gd 0.0000 0.0000 0.7415
Gd 0.0000 0.0000 0.2585
Si 0.6667 0.3333 0.0000
Si 0.3333 0.6667 0.5000
Si 0.3333 0.6667 0.0000
Ni 0.6667 0.3333 0.5000

Properties
Symmetry: P-6m2, No. 187
Calculated total energy, Ry/atom: -0.666

***

Entry from Materials Project: a relaxed La4B10O21 crystal (PBE).

Cell lengths 19.8550, 7.2243, 11.6840 Å; angles 55.59, 90.00, 90.00 degrees
Sites, in units of the cell vectors:
La 0.7000 0.4649 0.6613
La 0.8000 0.4649 0.1613
La 0.3000 0.5351 0.3387
La 0.2000 0.5351 0.8387
La 0.7952 0.9268 0.6766
La 0.7048 0.9268 0.1766
La 0.2048 0.0732 0.3234
La 0.2952 0.0732 0.8234
La 0.9182 0.4754 0.6596
La 0.5818 0.4754 0.1596
La 0.0818 0.5246 0.3404
La 0.4182 0.5246 0.8404
La 0.5797 0.0019 0.6499
La 0.9203 0.0019 0.1499
La 0.4203 0.9981 0.3501
La 0.0797 0.9981 0.8501
B 0.9069 0.0353 0.4465
B 0.5931 0.0353 0.9465
B 0.0931 0.9647 0.5535
B 0.4069 0.9647 0.0535
B 0.9784 0.0844 0.6072
B 0.5216 0.0844 0.1072
B 0.0216 0.9156 0.3928
B 0.4784 0.9156 0.8928
B 0.9058 0.5245 0.9460
B 0.5942 0.5245 0.4460
B 0.0942 0.4755 0.0540
B 0.4058 0.4755 0.5540
B 0.5248 0.5982 0.6044
B 0.9752 0.5982 0.1044
B 0.4752 0.4018 0.3956
B 0.0248 0.4018 0.8956
B 0.9215 0.9321 0.8648
B 0.5785 0.9321 0.3648
B 0.0785 0.0679 0.1352
B 0.4215 0.0679 0.6352
B 0.8112 0.9988 0.9531
B 0.6888 0.9988 0.4531
B 0.1888 0.0012 0.0469
B 0.3112 0.0012 0.5469
B 0.7057 0.4092 0.3784
B 0.7943 0.4092 0.8784
B 0.2943 0.5908 0.6216
B 0.2057 0.5908 0.1216
B 0.5727 0.4323 0.8709
B 0.9273 0.4323 0.3709
B 0.4273 0.5677 0.1291
B 0.0727 0.5677 0.6291
B 0.8213 0.4804 0.4530
B 0.6787 0.4804 0.9530
B 0.1787 0.5196 0.5470
B 0.3213 0.5196 0.0470
B 0.7016 0.9378 0.8801
B 0.7984 0.9378 0.3801
B 0.2984 0.0622 0.1199
B 0.2016 0.0622 0.6199
O 0.0212 0.6779 0.5200
O 0.4788 0.6779 0.0200
O 0.9788 0.3221 0.4800
O 0.5212 0.3221 0.9800
O 0.6577 0.3856 0.4814
O 0.8423 0.3856 0.9814
O 0.3423 0.6144 0.5186
O 0.1577 0.6144 0.0186
O 0.6178 0.2723 0.8713
O 0.8822 0.2723 0.3713
O 0.3822 0.7277 0.1287
O 0.1178 0.7277 0.6287
O 0.8445 0.8892 0.4815
O 0.6555 0.8892 0.9815
O 0.1555 0.1108 0.5185
O 0.3445 0.1108 0.0185
O 0.8866 0.7605 0.8607
O 0.6134 0.7605 0.3607
O 0.1134 0.2395 0.1393
O 0.3866 0.2395 0.6393
O 0.6777 0.8481 0.6009
O 0.8223 0.8481 0.1009
O 0.3223 0.1519 0.3991
O 0.1777 0.1519 0.8991
O 0.5415 0.5966 0.7329
O 0.9585 0.5966 0.2329
O 0.4585 0.4034 0.2671
O 0.0415 0.4034 0.7671
O 0.5708 0.4564 0.5864
O 0.9292 0.4564 0.0864
O 0.4292 0.5436 0.4136
O 0.0708 0.5436 0.9136
O 0.8121 0.3359 0.5917
O 0.6879 0.3359 0.0917
O 0.1879 0.6641 0.4083
O 0.3121 0.6641 0.9083
O 0.9300 0.9537 0.5862
O 0.5700 0.9537 0.0862
O 0.0700 0.0463 0.4138
O 0.4300 0.0463 0.9138
O 0.6869 0.0618 0.7435
O 0.8131 0.0618 0.2435
O 0.3131 0.9382 0.2565
O 0.1869 0.9382 0.7565
O 0.8177 0.5435 0.7368
O 0.6823 0.5435 0.2368
O 0.1823 0.4565 0.2632
O 0.3177 0.4565 0.7632
O 0.9521 0.0019 0.3617
O 0.5479 0.0019 0.8617
O 0.0479 0.9981 0.6383
O 0.4521 0.9981 0.1383
O 0.7338 0.1887 0.4195
O 0.7662 0.1887 0.9195
O 0.2662 0.8113 0.5805
O 0.2338 0.8113 0.0805
O 0.0396 0.9079 0.2685
O 0.4604 0.9079 0.7685
O 0.9604 0.0921 0.7315
O 0.5396 0.0921 0.2315
O 0.8726 0.0830 0.8708
O 0.6274 0.0830 0.3708
O 0.1274 0.9170 0.1292
O 0.3726 0.9170 0.6292
O 0.6153 0.5810 0.8995
O 0.8847 0.5810 0.3995
O 0.3847 0.4190 0.1005
O 0.1153 0.4190 0.6005
O 0.9694 0.8373 0.9822
O 0.5306 0.8373 0.4822
O 0.0306 0.1627 0.0178
O 0.4694 0.1627 0.5178
O 0.7675 0.8554 0.9187
O 0.7325 0.8554 0.4187
O 0.2325 0.1446 0.0813
O 0.2675 0.1446 0.5813
O 0.7314 0.5473 0.8611
O 0.7686 0.5473 0.3611
O 0.2686 0.4527 0.1389
O 0.2314 0.4527 0.6389
O 0.9525 0.4600 0.8768
O 0.5475 0.4600 0.3768
O 0.0475 0.5400 0.1232
O 0.4525 0.5400 0.6232

Properties
Symmetry: P2_1/c, No. 14
Calculated total energy, Ry/atom: -0.607

***

ΔE_f values (in eV per atom) by entry order: -2.802, 0.675, -0.683, -3.024, 0.158, -1.392, -0.695, -3.229.